Model 1:
Material: Li2Mn2S3O12
Method: DFT, GGA+U
State: relaxed

Cell lengths 8.7703, 9.0238, 12.6058 Å; angles 90.00, 90.00, 90.00 degrees
With the nearest neighbours (Å) after each atom.
Atoms (fractional coordinates):
1 O 0.8283 0.2510 0.8165  1 S 1.50
2 O 0.4333 0.8857 0.6630  1 S 1.50
3 O 0.8354 0.9826 0.2144  1 S 1.50
4 Mn 0.7475 0.0411 0.8908  6 O 2.10-2.35
5 S 0.1024 0.6057 0.1475  4 O 1.46-1.50
6 S 0.4527 0.2500 0.0000  4 O 1.47-1.50
7 O 0.6717 0.7490 0.3165  1 S 1.50
8 Li 0.2159 0.2777 0.1812  4 O 1.95-1.99
9 O 0.5667 0.1143 0.3370  1 S 1.50
10 S 0.0473 0.7500 0.5000  4 O 1.47-1.50
11 O 0.6488 0.6768 0.0802  1 S 1.50
12 O 0.5667 0.3857 0.6630  1 S 1.50
13 O 0.3512 0.1768 0.0802  1 S 1.50
14 O 0.1646 0.0174 0.7856  1 S 1.50
15 O 0.8639 0.0786 0.0355  1 S 1.46
16 O 0.0667 0.3857 0.8370  1 S 1.50
17 Mn 0.2475 0.4589 0.3908  6 O 2.10-2.35
18 Li 0.2841 0.7777 0.3188  4 O 1.95-1.99
19 O 0.6488 0.8232 0.9198  1 S 1.50
20 O 0.9553 0.6381 0.5551  1 S 1.47
21 Li 0.7159 0.2777 0.3188  4 O 1.95-1.99
22 O 0.0447 0.3619 0.4449  1 S 1.47
23 O 0.5447 0.1381 0.9449  1 S 1.47
24 O 0.8512 0.3232 0.5802  1 S 1.50
25 S 0.1024 0.8943 0.8525  4 O 1.46-1.50
26 S 0.8976 0.3943 0.8525  4 O 1.46-1.50
27 O 0.6646 0.0174 0.7144  1 S 1.50
28 S 0.3976 0.1057 0.3525  4 O 1.46-1.50
29 O 0.9333 0.6143 0.1630  1 S 1.50
30 O 0.3512 0.3232 0.9198  1 S 1.50
31 Mn 0.7475 0.4589 0.1092  6 O 2.10-2.35
32 Li 0.2159 0.2223 0.8188  4 O 1.95-1.99
33 Li 0.7841 0.7777 0.1812  4 O 1.95-1.99
34 O 0.8512 0.1768 0.4198  1 S 1.50
35 S 0.8976 0.1057 0.1475  4 O 1.46-1.50
36 O 0.4333 0.6143 0.3370  1 S 1.50
37 O 0.6717 0.7510 0.6835  1 S 1.50
38 O 0.1646 0.4826 0.2144  1 S 1.50
39 Mn 0.2525 0.9589 0.1092  6 O 2.10-2.35
40 Mn 0.2525 0.5411 0.8908  6 O 2.10-2.35
41 O 0.9333 0.8857 0.8370  1 S 1.50
42 O 0.1361 0.9214 0.9645  1 S 1.46
43 O 0.3639 0.4214 0.5355  1 S 1.46
44 O 0.6361 0.5786 0.4645  1 S 1.46
45 Li 0.7159 0.2223 0.6812  4 O 1.95-1.99
46 O 0.3283 0.2490 0.3165  1 S 1.50
47 S 0.6024 0.8943 0.6475  4 O 1.46-1.50
48 O 0.3283 0.2510 0.6835  1 S 1.50
49 S 0.9527 0.2500 0.5000  4 O 1.47-1.50
50 S 0.3976 0.3943 0.6475  4 O 1.46-1.50
51 S 0.6024 0.6057 0.3525  4 O 1.46-1.50
52 O 0.6361 0.9214 0.5355  1 S 1.46
53 Mn 0.7525 0.5411 0.6092  6 O 2.10-2.35
54 O 0.8639 0.4214 0.9645  1 S 1.46
55 O 0.9553 0.8619 0.4449  1 S 1.47
56 O 0.0447 0.1381 0.5551  1 S 1.47
57 Li 0.7841 0.7223 0.8188  4 O 1.95-1.99
58 O 0.3354 0.5174 0.7144  1 S 1.50
59 O 0.3639 0.0786 0.4645  1 S 1.46
60 O 0.1488 0.6768 0.4198  1 S 1.50
61 S 0.5473 0.7500 0.0000  4 O 1.47-1.50
62 O 0.6646 0.4826 0.2856  1 S 1.50
63 O 0.1717 0.7510 0.8165  1 S 1.50
64 Li 0.2841 0.7223 0.6812  4 O 1.95-1.99
65 O 0.0667 0.1143 0.1630  1 S 1.50
66 O 0.3354 0.9826 0.2856  1 S 1.50
67 O 0.4553 0.6381 0.9449  1 S 1.47
68 O 0.1488 0.8232 0.5802  1 S 1.50
69 Mn 0.7525 0.9589 0.3908  6 O 2.10-2.35
70 O 0.1717 0.7490 0.1835  1 S 1.50
71 O 0.5447 0.3619 0.0551  1 S 1.47
72 O 0.1361 0.5786 0.0355  1 S 1.46
73 O 0.4553 0.8619 0.0551  1 S 1.47
74 O 0.8354 0.5174 0.7856  1 S 1.50
75 O 0.8283 0.2490 0.1835  1 S 1.50
76 Mn 0.2475 0.0411 0.6092  6 O 2.10-2.35

Properties
Total magnetization ... 0.53 μB per atom

***

Model 2:
Material: Li2Mn2S3O12
Method: DFT, GGA+U
State: relaxed

Cell lengths 8.0594, 8.0594, 8.9188 Å; angles 68.19, 68.19, 66.98 degrees
With the nearest neighbours (Å) after each atom.
Atoms (fractional coordinates):
1 O 0.7357 0.6199 0.8085  1 S 1.49
2 S 0.2465 0.4566 0.6803  4 O 1.46-1.52
3 Mn 0.1305 0.6348 0.0153  6 O 2.10-2.34
4 O 0.2127 0.9003 0.3237  1 S 1.47
5 S 0.0616 0.9384 0.2500  4 O 1.47-1.50
6 O 0.5062 0.8754 0.9251  1 S 1.48
7 O 0.1304 0.4560 0.8597  1 S 1.52
8 O 0.1246 0.4938 0.5749  1 S 1.48
9 O 0.5985 0.3441 0.1190  1 S 1.46
10 O 0.4938 0.1246 0.0749  1 S 1.48
11 O 0.1211 0.0531 0.6173  1 S 1.50
12 O 0.2643 0.3801 0.1915  1 S 1.49
13 O 0.8696 0.5440 0.1403  1 S 1.52
14 S 0.7535 0.5434 0.3197  4 O 1.46-1.52
15 O 0.5440 0.8696 0.6403  1 S 1.52
16 O 0.8789 0.9469 0.3827  1 S 1.50
17 Li 0.1303 0.3335 0.4472  4 O 1.99-2.22
18 O 0.3801 0.2643 0.6915  1 S 1.49
19 O 0.4560 0.1304 0.3597  1 S 1.52
20 Li 0.6665 0.8697 0.0528  4 O 1.99-2.22
21 S 0.5434 0.7535 0.8197  4 O 1.46-1.52
22 O 0.7873 0.0997 0.6763  1 S 1.47
23 O 0.6559 0.4015 0.3810  1 S 1.46
24 O 0.0997 0.7873 0.1763  1 S 1.47
25 O 0.9003 0.2127 0.8237  1 S 1.47
26 O 0.0531 0.1211 0.1173  1 S 1.50
27 O 0.9469 0.8789 0.8827  1 S 1.50
28 S 0.4566 0.2465 0.1803  4 O 1.46-1.52
29 Li 0.3335 0.1303 0.9472  4 O 1.99-2.22
30 O 0.8754 0.5062 0.4251  1 S 1.48
31 Li 0.8697 0.6665 0.5528  4 O 1.99-2.22
32 S 0.9384 0.0616 0.7500  4 O 1.47-1.50
33 O 0.4015 0.6559 0.8810  1 S 1.46
34 Mn 0.6348 0.1305 0.5153  6 O 2.10-2.34
35 Mn 0.3652 0.8695 0.4847  6 O 2.10-2.34
36 O 0.6199 0.7357 0.3085  1 S 1.49
37 O 0.3441 0.5985 0.6190  1 S 1.46
38 Mn 0.8695 0.3652 0.9847  6 O 2.10-2.34

Properties
Total magnetization ... 0.53 μB per atom

***

Stability ranking, top entry: model 1; the second entry is 8 meV/atom less favorable.